(1)
Material: Mn2O3
Method: DFT, PBE+U
State: optimized geometry

symmetry	No. 199
energy of formation	-1592	meV per atom

a = 10.030 Å, b = 10.030 Å, c = 10.030 Å
α = 109.47°, β = 109.47°, γ = 109.47°
Fractional coordinates of all 40 atoms:
Mn (0.750, 0.869, 0.119)
Mn (0.381, 0.250, 0.631)
Mn (0.631, 0.381, 0.250)
Mn (0.119, 0.750, 0.869)
Mn (0.869, 0.119, 0.750)
Mn (0.250, 0.631, 0.381)
Mn (0.750, 0.365, 0.615)
Mn (0.885, 0.250, 0.135)
Mn (0.135, 0.885, 0.250)
Mn (0.615, 0.750, 0.365)
Mn (0.365, 0.615, 0.750)
Mn (0.250, 0.135, 0.885)
Mn (0.978, 0.500, 0.000)
Mn (0.500, 0.000, 0.978)
Mn (0.000, 0.978, 0.500)
Mn (0.522, 0.522, 0.522)
O (0.374, 0.440, 0.742)
O (0.198, 0.632, 0.758)
O (0.302, 0.060, 0.435)
O (0.868, 0.065, 0.126)
O (0.065, 0.126, 0.868)
O (0.742, 0.374, 0.440)
O (0.632, 0.758, 0.198)
O (0.435, 0.302, 0.060)
O (0.440, 0.742, 0.374)
O (0.758, 0.198, 0.632)
O (0.060, 0.435, 0.302)
O (0.126, 0.868, 0.065)
O (0.885, 0.270, 0.952)
O (0.818, 0.934, 0.548)
O (0.682, 0.230, 0.116)
O (0.566, 0.384, 0.615)
O (0.615, 0.566, 0.384)
O (0.230, 0.116, 0.682)
O (0.548, 0.818, 0.934)
O (0.270, 0.952, 0.885)
O (0.116, 0.682, 0.230)
O (0.934, 0.548, 0.818)
O (0.952, 0.885, 0.270)
O (0.384, 0.615, 0.566)

(2)
Material: Li9Mn2C8O24
Method: DFT, PBE+U
State: optimized geometry

symmetry	No. 1
energy of formation	-2025	meV per atom

a = 8.379 Å, b = 9.624 Å, c = 11.244 Å
α = 90.23°, β = 88.94°, γ = 89.90°
Fractional coordinates of all 86 atoms:
Li (0.432, 0.636, 0.065)
Li (0.939, 0.864, 0.068)
Li (0.440, 0.153, 0.154)
Li (0.933, 0.349, 0.146)
Li (0.302, 0.902, 0.231)
Li (0.801, 0.602, 0.222)
Li (0.466, 0.665, 0.341)
Li (0.976, 0.826, 0.356)
Li (0.928, 0.428, 0.443)
Li (0.568, 0.918, 0.582)
Li (0.529, 0.326, 0.650)
Li (0.045, 0.162, 0.667)
Li (0.201, 0.401, 0.772)
Li (0.708, 0.101, 0.775)
Li (0.064, 0.639, 0.862)
Li (0.571, 0.866, 0.869)
Li (0.067, 0.134, 0.935)
Li (0.559, 0.365, 0.933)
Mn (0.221, 0.884, 0.725)
Mn (0.730, 0.597, 0.727)
Mn (0.273, 0.395, 0.277)
Mn (0.772, 0.091, 0.277)
C (0.243, 0.385, 0.028)
C (0.737, 0.111, 0.029)
C (0.135, 0.639, 0.209)
C (0.638, 0.860, 0.208)
C (0.116, 0.140, 0.283)
C (0.621, 0.365, 0.288)
C (0.257, 0.851, 0.481)
C (0.759, 0.654, 0.489)
C (0.242, 0.355, 0.525)
C (0.737, 0.152, 0.509)
C (0.387, 0.642, 0.720)
C (0.880, 0.860, 0.715)
C (0.372, 0.135, 0.795)
C (0.866, 0.359, 0.796)
C (0.249, 0.884, 0.975)
C (0.754, 0.613, 0.976)
O (0.881, 0.676, 0.004)
O (0.185, 0.986, 0.031)
O (0.693, 0.510, 0.031)
O (0.336, 0.341, 0.119)
O (0.833, 0.151, 0.120)
O (0.103, 0.768, 0.199)
O (0.600, 0.733, 0.197)
O (0.033, 0.541, 0.202)
O (0.543, 0.964, 0.204)
O (0.285, 0.602, 0.227)
O (0.789, 0.894, 0.229)
O (0.082, 0.271, 0.267)
O (0.593, 0.231, 0.279)
O (0.258, 0.097, 0.277)
O (0.761, 0.413, 0.278)
O (0.999, 0.054, 0.307)
O (0.500, 0.447, 0.308)
O (0.356, 0.833, 0.395)
O (0.848, 0.653, 0.395)
O (0.188, 0.430, 0.431)
O (0.711, 0.045, 0.434)
O (0.118, 0.803, 0.488)
O (0.840, 0.242, 0.478)
O (0.386, 0.318, 0.524)
O (0.647, 0.739, 0.511)
O (0.309, 0.930, 0.573)
O (0.789, 0.551, 0.568)
O (0.138, 0.331, 0.607)
O (0.656, 0.151, 0.606)
O (0.502, 0.555, 0.699)
O (0.000, 0.946, 0.697)
O (0.738, 0.906, 0.721)
O (0.421, 0.774, 0.735)
O (0.243, 0.603, 0.724)
O (0.913, 0.729, 0.726)
O (0.716, 0.395, 0.775)
O (0.224, 0.089, 0.776)
O (0.392, 0.267, 0.803)
O (0.482, 0.046, 0.802)
O (0.966, 0.459, 0.804)
O (0.900, 0.230, 0.805)
O (0.164, 0.831, 0.883)
O (0.670, 0.662, 0.882)
O (0.293, 0.492, 0.972)
O (0.781, 0.002, 0.972)
O (0.118, 0.316, 0.004)
O (0.381, 0.826, 0.001)
O (0.616, 0.186, 0.007)

(3)
Material: MgMn3CuO8
Method: DFT, PBE+U
State: optimized geometry

distance to the lowest polymorph of the same formula	0.0035	eV/atom
symmetry	No. 12
energy of formation	-1828	meV per atom

a = 5.983 Å, b = 5.978 Å, c = 5.985 Å
α = 59.18°, β = 59.14°, γ = 59.18°
Fractional coordinates of all 13 atoms:
Mg (0.000, 0.000, 0.000)
Mn (0.500, 0.500, 0.000)
Mn (0.500, 0.000, 0.500)
Mn (0.000, 0.500, 0.500)
Cu (0.500, 0.500, 0.500)
O (0.267, 0.266, 0.267)
O (0.711, 0.248, 0.247)
O (0.247, 0.712, 0.247)
O (0.248, 0.248, 0.711)
O (0.752, 0.752, 0.289)
O (0.753, 0.288, 0.753)
O (0.289, 0.752, 0.753)
O (0.733, 0.734, 0.733)

(4)
Material: Ba2CaV2CuF14
Method: DFT, PBE+U
State: optimized geometry

symmetry	No. 15
energy of formation	-3478	meV per atom

a = 7.577 Å, b = 7.577 Å, c = 15.137 Å
α = 88.58°, β = 88.58°, γ = 42.27°
Fractional coordinates of all 40 atoms:
Ba (0.109, 0.263, 0.876)
Ba (0.263, 0.109, 0.376)
Ba (0.737, 0.891, 0.624)
Ba (0.891, 0.737, 0.124)
Ca (0.578, 0.422, 0.250)
Ca (0.422, 0.578, 0.750)
V (0.147, 0.097, 0.124)
V (0.903, 0.853, 0.376)
V (0.097, 0.147, 0.624)
V (0.853, 0.903, 0.876)
Cu (0.500, 0.500, 0.000)
Cu (0.500, 0.500, 0.500)
F (0.402, 0.888, 0.545)
F (0.175, 0.589, 0.288)
F (0.589, 0.175, 0.788)
F (0.123, 0.708, 0.483)
F (0.641, 0.038, 0.278)
F (0.928, 0.085, 0.345)
F (0.486, 0.616, 0.384)
F (0.514, 0.384, 0.616)
F (0.085, 0.928, 0.845)
F (0.292, 0.877, 0.017)
F (0.616, 0.486, 0.884)
F (0.072, 0.915, 0.655)
F (0.359, 0.962, 0.722)
F (0.854, 0.639, 0.399)
F (0.915, 0.072, 0.155)
F (0.361, 0.146, 0.101)
F (0.146, 0.361, 0.601)
F (0.411, 0.825, 0.212)
F (0.598, 0.112, 0.455)
F (0.825, 0.411, 0.712)
F (0.112, 0.598, 0.955)
F (0.384, 0.514, 0.116)
F (0.708, 0.123, 0.983)
F (0.639, 0.854, 0.899)
F (0.038, 0.641, 0.778)
F (0.962, 0.359, 0.222)
F (0.888, 0.402, 0.045)
F (0.877, 0.292, 0.517)

(5)
Material: CsThMo2ClO8
Method: DFT, PBE+U
State: optimized geometry

symmetry	No. 14
energy of formation	-2536	meV per atom

a = 10.192 Å, b = 9.818 Å, c = 10.349 Å
α = 84.11°, β = 90.00°, γ = 90.00°
Fractional coordinates of all 52 atoms:
Cs (0.276, 0.994, 0.517)
Cs (0.776, 0.506, 0.483)
Cs (0.724, 0.006, 0.483)
Cs (0.224, 0.494, 0.517)
Th (0.466, 0.696, 0.169)
Th (0.966, 0.804, 0.831)
Th (0.534, 0.304, 0.831)
Th (0.034, 0.196, 0.169)
Mo (0.777, 0.504, 0.082)
Mo (0.277, 0.996, 0.918)
Mo (0.223, 0.496, 0.918)
Mo (0.723, 0.004, 0.082)
Mo (0.091, 0.790, 0.207)
Mo (0.591, 0.710, 0.793)
Mo (0.909, 0.210, 0.793)
Mo (0.409, 0.290, 0.207)
Cl (0.005, 0.772, 0.564)
Cl (0.505, 0.728, 0.436)
Cl (0.995, 0.228, 0.436)
Cl (0.495, 0.272, 0.564)
O (0.330, 0.595, 0.007)
O (0.830, 0.905, 0.993)
O (0.670, 0.405, 0.993)
O (0.170, 0.095, 0.007)
O (0.370, 0.884, 0.033)
O (0.870, 0.616, 0.967)
O (0.630, 0.116, 0.967)
O (0.130, 0.384, 0.033)
O (0.085, 0.798, 0.032)
O (0.585, 0.702, 0.968)
O (0.915, 0.202, 0.968)
O (0.415, 0.298, 0.032)
O (0.612, 0.890, 0.175)
O (0.112, 0.610, 0.825)
O (0.388, 0.110, 0.825)
O (0.888, 0.390, 0.175)
O (0.681, 0.588, 0.198)
O (0.181, 0.912, 0.802)
O (0.319, 0.412, 0.802)
O (0.819, 0.088, 0.198)
O (0.071, 0.963, 0.254)
O (0.571, 0.537, 0.746)
O (0.929, 0.037, 0.746)
O (0.429, 0.463, 0.254)
O (0.250, 0.719, 0.262)
O (0.750, 0.781, 0.738)
O (0.750, 0.281, 0.738)
O (0.250, 0.219, 0.262)
O (0.466, 0.820, 0.731)
O (0.966, 0.680, 0.269)
O (0.534, 0.180, 0.269)
O (0.034, 0.320, 0.731)

(6)
Material: NaCoBP2H2O9
Method: DFT, PBE+U
State: optimized geometry

symmetry	No. 14
energy of formation	-2312	meV per atom

a = 11.499 Å, b = 6.586 Å, c = 9.724 Å
α = 72.86°, β = 90.00°, γ = 90.00°
Fractional coordinates of all 64 atoms:
Na (0.313, 0.070, 0.448)
Na (0.187, 0.070, 0.948)
Na (0.687, 0.930, 0.552)
Na (0.813, 0.930, 0.052)
Co (0.924, 0.619, 0.599)
Co (0.076, 0.381, 0.401)
Co (0.424, 0.381, 0.901)
Co (0.576, 0.619, 0.099)
B (0.955, 0.269, 0.152)
B (0.545, 0.269, 0.652)
B (0.455, 0.731, 0.348)
B (0.045, 0.731, 0.848)
P (0.327, 0.471, 0.565)
P (0.063, 0.924, 0.317)
P (0.437, 0.924, 0.817)
P (0.937, 0.076, 0.683)
P (0.827, 0.529, 0.935)
P (0.563, 0.076, 0.183)
P (0.173, 0.471, 0.065)
P (0.673, 0.529, 0.435)
H (0.829, 0.262, 0.790)
H (0.329, 0.738, 0.710)
H (0.671, 0.262, 0.290)
H (0.136, 0.576, 0.726)
H (0.636, 0.424, 0.774)
H (0.171, 0.738, 0.210)
H (0.864, 0.424, 0.274)
H (0.364, 0.576, 0.226)
O (0.359, 0.694, 0.453)
O (0.547, 0.035, 0.725)
O (0.274, 0.369, 0.013)
O (0.859, 0.306, 0.047)
O (0.528, 0.299, 0.088)
O (0.694, 0.487, 0.289)
O (0.445, 0.604, 0.248)
O (0.615, 0.930, 0.104)
O (0.141, 0.694, 0.953)
O (0.385, 0.070, 0.896)
O (0.472, 0.701, 0.912)
O (0.306, 0.513, 0.711)
O (0.067, 0.317, 0.072)
O (0.567, 0.683, 0.428)
O (0.953, 0.035, 0.225)
O (0.885, 0.930, 0.604)
O (0.453, 0.965, 0.275)
O (0.055, 0.604, 0.748)
O (0.115, 0.070, 0.396)
O (0.433, 0.317, 0.572)
O (0.774, 0.631, 0.487)
O (0.641, 0.306, 0.547)
O (0.555, 0.396, 0.752)
O (0.194, 0.513, 0.211)
O (0.845, 0.106, 0.796)
O (0.047, 0.965, 0.775)
O (0.945, 0.396, 0.252)
O (0.028, 0.701, 0.412)
O (0.345, 0.894, 0.704)
O (0.655, 0.106, 0.296)
O (0.726, 0.631, 0.987)
O (0.226, 0.369, 0.513)
O (0.806, 0.487, 0.789)
O (0.155, 0.894, 0.204)
O (0.972, 0.299, 0.588)
O (0.933, 0.683, 0.928)

(7)
Material: LiCrP3H8O13
Method: DFT, PBE+U
State: optimized geometry

distance to the lowest polymorph of the same formula	0.0430	eV/atom
symmetry	No. 2
energy of formation	-1917	meV per atom

a = 7.536 Å, b = 8.674 Å, c = 9.680 Å
α = 102.75°, β = 89.44°, γ = 107.48°
Fractional coordinates of all 52 atoms:
Li (0.288, 0.606, 0.691)
Li (0.712, 0.394, 0.309)
Cr (0.000, 0.500, 0.000)
Cr (0.500, 0.000, 0.500)
P (0.285, 0.276, 0.941)
P (0.798, 0.642, 0.751)
P (0.988, 0.001, 0.780)
P (0.012, 0.999, 0.220)
P (0.202, 0.358, 0.249)
P (0.715, 0.724, 0.059)
H (0.797, 0.184, 0.951)
H (0.661, 0.295, 0.967)
H (0.463, 0.090, 0.772)
H (0.813, 0.316, 0.628)
H (0.612, 0.995, 0.753)
H (0.243, 0.136, 0.583)
H (0.885, 0.172, 0.543)
H (0.346, 0.246, 0.473)
H (0.654, 0.754, 0.527)
H (0.115, 0.828, 0.457)
H (0.757, 0.864, 0.417)
H (0.388, 0.005, 0.247)
H (0.187, 0.684, 0.372)
H (0.537, 0.910, 0.228)
H (0.339, 0.705, 0.033)
H (0.203, 0.816, 0.049)
O (0.779, 0.290, 0.010)
O (0.148, 0.087, 0.909)
O (0.183, 0.384, 0.896)
O (0.468, 0.277, 0.880)
O (0.809, 0.029, 0.830)
O (0.679, 0.682, 0.889)
O (0.885, 0.509, 0.760)
O (0.057, 0.046, 0.645)
O (0.976, 0.809, 0.772)
O (0.485, 0.987, 0.714)
O (0.670, 0.622, 0.626)
O (0.792, 0.229, 0.539)
O (0.365, 0.179, 0.540)
O (0.635, 0.821, 0.460)
O (0.208, 0.771, 0.461)
O (0.330, 0.378, 0.374)
O (0.515, 0.013, 0.286)
O (0.024, 0.191, 0.228)
O (0.943, 0.954, 0.355)
O (0.115, 0.491, 0.240)
O (0.321, 0.318, 0.111)
O (0.191, 0.971, 0.170)
O (0.532, 0.723, 0.120)
O (0.817, 0.616, 0.104)
O (0.852, 0.913, 0.091)
O (0.221, 0.710, 0.990)

(8)
Material: NaV2P2O9
Method: DFT, PBE+U
State: optimized geometry

symmetry	No. 62
energy of formation	-2671	meV per atom

a = 6.453 Å, b = 7.677 Å, c = 14.065 Å
α = 90.00°, β = 90.00°, γ = 90.00°
Fractional coordinates of all 56 atoms:
Na (0.750, 0.889, 0.779)
Na (0.750, 0.611, 0.279)
Na (0.250, 0.389, 0.721)
Na (0.250, 0.111, 0.221)
V (0.750, 0.349, 0.881)
V (0.250, 0.651, 0.119)
V (0.250, 0.849, 0.619)
V (0.750, 0.151, 0.381)
V (0.500, 0.000, 0.000)
V (0.500, 0.500, 0.500)
V (0.000, 0.500, 0.500)
V (0.000, 0.000, 0.000)
P (0.250, 0.353, 0.938)
P (0.750, 0.647, 0.062)
P (0.750, 0.853, 0.562)
P (0.250, 0.147, 0.438)
P (0.750, 0.390, 0.692)
P (0.750, 0.110, 0.192)
P (0.250, 0.890, 0.808)
P (0.250, 0.610, 0.308)
O (0.053, 0.602, 0.371)
O (0.553, 0.398, 0.629)
O (0.947, 0.102, 0.129)
O (0.447, 0.898, 0.871)
O (0.947, 0.398, 0.629)
O (0.447, 0.602, 0.371)
O (0.053, 0.898, 0.871)
O (0.553, 0.102, 0.129)
O (0.250, 0.334, 0.484)
O (0.750, 0.666, 0.516)
O (0.750, 0.834, 0.016)
O (0.250, 0.166, 0.984)
O (0.750, 0.142, 0.945)
O (0.250, 0.858, 0.055)
O (0.250, 0.642, 0.555)
O (0.750, 0.358, 0.445)
O (0.750, 0.222, 0.755)
O (0.250, 0.778, 0.245)
O (0.250, 0.722, 0.745)
O (0.750, 0.278, 0.255)
O (0.441, 0.130, 0.374)
O (0.941, 0.870, 0.626)
O (0.559, 0.630, 0.126)
O (0.059, 0.370, 0.874)
O (0.559, 0.870, 0.626)
O (0.059, 0.130, 0.374)
O (0.441, 0.370, 0.874)
O (0.941, 0.630, 0.126)
O (0.750, 0.516, 0.980)
O (0.250, 0.033, 0.730)
O (0.250, 0.467, 0.230)
O (0.750, 0.533, 0.770)
O (0.750, 0.984, 0.480)
O (0.250, 0.016, 0.520)
O (0.250, 0.484, 0.020)
O (0.750, 0.967, 0.270)